First-principles (PBE) data for Li7Mg8Zn9 after structural relaxation, as listed in the Materials Project database.

```
96
Lattice="4.378 -0.524 9.463 -2.465 -8.767 -5.105 15.839 -0.181 -7.337" Properties=species:S:1:pos:R:3 pbc="T T T"
Li 2.675 -5.929 -4.460
Mg 10.302 -3.136 -4.940
Zn 12.264 -5.471 -4.542
Zn -0.118 -4.509 -0.196
Zn 5.488 -4.002 1.563
Zn 15.687 -1.348 2.745
Mg 4.477 -6.305 3.338
Mg 10.370 -4.753 -2.180
Zn 11.650 -7.655 -5.814
Mg 17.491 -5.071 0.263
Mg 12.557 -5.015 2.549
Mg 6.381 -0.073 -2.956
Mg 3.451 -9.309 3.646
Zn 6.805 -7.718 -0.706
Mg 9.458 -0.109 -4.381
Zn 2.065 -8.125 -5.725
Li 4.254 -8.401 -0.991
Zn 6.579 -4.132 3.921
Mg 6.498 -1.702 -0.216
Mg 13.273 -3.169 -6.316
Li 3.157 -8.270 -3.362
Zn 11.173 -5.341 -6.900
Mg 7.453 -6.339 1.959
Mg 16.535 -0.429 -1.914
Zn 8.242 -6.931 -2.752
Li 14.458 -5.740 0.201
Li 8.402 -2.426 -2.573
Zn 15.867 -6.428 -1.938
Mg 3.522 -1.668 1.163
Li 12.878 -3.279 -3.272
Li 16.938 -0.314 -4.958
Zn 14.915 -1.802 -4.108
Li 9.695 -6.133 -4.825
Zn 4.623 -7.457 -5.422
Zn 1.883 -3.042 -1.040
Mg 14.226 -7.804 -4.142
Zn 7.143 -6.800 -5.127
Zn 9.992 -4.874 0.866
Mg 12.043 -7.543 -8.862
Mg 5.707 -1.929 5.886
Li 19.115 -0.574 -0.252
Mg 5.198 -4.457 -5.530
Mg 12.447 -3.389 -0.188
Li 13.498 -1.074 -1.988
Zn 7.762 -4.600 -3.846
Li 4.875 -6.192 0.295
Mg 0.258 -4.401 -3.241
Li 10.454 -7.178 1.972
Li 15.076 -3.542 1.480
Mg 11.601 -0.372 0.371
Mg 15.303 -4.809 -4.465
Li 13.357 -5.607 -2.181
Mg 14.301 -0.164 -6.625
Zn 3.913 -1.550 -1.896
Zn 0.655 -7.412 -3.584
Zn -0.736 -6.710 -1.477
Li 9.022 -0.223 -1.291
Zn 6.102 -1.818 2.835
Li 9.354 -7.046 -0.407
Li 3.293 -3.732 -3.181
Li 17.269 -7.137 -4.073
Zn 2.837 -7.673 1.132
Mg 8.683 -1.964 4.507
Li 18.370 -7.269 -1.695
Zn 12.404 -0.955 -4.351
Zn 13.839 -7.921 -1.082
Li 4.396 -3.864 -0.797
Zn 9.512 -2.541 -0.228
Zn 5.851 -3.087 -2.878
Li 11.199 -0.484 3.415
Mg 2.446 -4.663 1.487
Li 8.061 -3.340 1.844
Zn 13.130 -2.017 2.441
Li 11.679 -2.819 4.510
Zn 18.486 -2.763 -1.500
Zn 10.611 -2.673 2.147
Zn 0.363 -6.841 0.898
Zn 17.095 -2.063 0.604
Zn 11.902 -6.383 -0.101
Mg 7.386 -4.719 -0.800
Zn 17.867 -4.964 -2.782
Mg 15.506 -3.424 -1.605
Mg 5.307 -6.083 -2.793
Mg 2.244 -6.048 -1.373
Mg 1.214 -9.045 -1.064
Mg 6.153 -9.102 -3.352
Li 14.595 -1.205 0.383
Zn 5.348 -8.519 1.372
Mg 11.256 -7.770 -2.766
Li 4.051 -3.294 3.702
Li 19.595 -2.909 0.843
Li 13.697 -6.179 -6.679
Zn 10.950 -1.756 -2.271
Li 16.318 -2.517 -6.240
Mg 9.073 -7.509 -7.486
Zn 17.387 -2.631 -3.876
```

Formation enthalpy at 0 K = -0.176 eV per atom
Size of the total moment = 0.1 μB/f.u.
Raw total energy = -1.7385 eV per atom

***

First-principles (PBE) data for LiBeB after structural relaxation, as listed in the Materials Project database.

```
6
Lattice="3.001 0.000 0.000 0.000 3.706 0.000 0.000 0.854 5.629" Properties=species:S:1:pos:R:3 pbc="T T T"
Be 2.251 3.157 4.999
B 2.251 1.269 5.481
B 0.750 3.290 0.148
Li 2.251 3.158 1.923
Be 0.750 1.402 0.631
Li 0.750 1.401 3.706
```

Formation enthalpy at 0 K = -0.123 eV per atom
Raw total energy = -4.2319 eV per atom
Relative energy among the computed polymorphs = 0.00 kJ per mole of atoms

***

First-principles (PBE) data for HoSnIr after structural relaxation, as listed in the Materials Project database.

```
9
Lattice="-7.049 2.164 1.448 3.317 -5.151 4.350 1.344 2.824 2.319" Properties=species:S:1:pos:R:3 pbc="T T T"
Sn -1.846 0.567 0.379
Ho -0.829 0.210 3.493
Ir -3.593 -0.274 2.416
Ir -0.138 -2.713 3.383
Ho -3.541 2.706 2.025
Ir 0.672 1.412 1.160
Ho 2.655 -1.667 3.760
Sn 0.869 -1.349 1.140
Sn -2.754 -2.205 4.280
```

Formation enthalpy at 0 K = -0.850 eV per atom
Raw total energy = -6.6600 eV per atom

***

First-principles (PBE) data for Pr3TaO7 after structural relaxation, as listed in the Materials Project database.

```
22
Lattice="3.551 4.332 -3.735 -6.425 1.946 0.515 1.745 4.071 6.382" Properties=species:S:1:pos:R:3 pbc="T T T"
Ta -1.437 3.139 -1.610
O 0.096 6.510 0.237
Pr 1.543 8.025 1.551
O -0.661 4.744 -2.533
O -1.224 3.840 2.926
Pr 0.873 2.036 3.191
O 3.614 6.935 1.680
O 2.616 5.175 -1.652
O -4.743 3.415 1.483
Pr -2.980 6.943 3.479
O -0.314 6.600 2.968
Ta -0.564 5.175 1.581
O -2.410 5.911 1.304
O 1.282 4.439 1.858
O -0.467 5.607 5.695
Pr 0.000 0.000 0.000
O -3.744 5.175 4.815
Pr 1.852 3.407 -0.316
O 2.040 6.206 4.628
O -3.168 4.144 -1.465
Pr -2.671 2.325 1.611
O -0.814 3.750 0.194
```

Formation enthalpy at 0 K = -3.717 eV per atom
Raw total energy = -8.8107 eV per atom

***

First-principles (PBE) data for Rb12MgCl4O4 after structural relaxation, as listed in the Materials Project database.

```
21
Lattice="7.935 -0.078 0.000 -0.080 8.107 0.000 0.000 0.000 11.031" Properties=species:S:1:pos:R:3 pbc="T T T"
Rb 1.992 5.933 5.946
Cl 7.535 7.867 2.758
Rb 7.381 3.708 8.273
Rb 0.319 4.553 2.758
Rb 6.102 6.221 5.546
O 3.898 -0.027 5.461
O 7.774 3.885 5.436
Cl 4.361 4.908 8.273
Cl 3.635 4.099 2.758
Rb 1.488 1.632 0.370
O 3.898 -0.027 0.055
Mg 2.839 2.899 8.273
Rb 6.102 6.221 11.001
Rb 5.470 2.277 4.949
Rb 5.470 2.277 0.566
Rb 3.895 7.450 2.758
Cl 7.819 7.289 8.273
Rb 1.488 1.632 5.146
Rb 4.414 8.053 8.273
Rb 1.992 5.933 10.601
O 7.774 3.885 0.080
```

Formation enthalpy at 0 K = -1.288 eV per atom
Size of the total moment = 0.0 μB/f.u.
Raw total energy = -3.0879 eV per atom
Relative energy among the computed polymorphs = 6.72 kJ per mole of atoms

***

First-principles (PBE) data for LaNi4B after structural relaxation, as listed in the Materials Project database.

```
12
Lattice="-4.679 1.094 1.694 2.821 -3.504 2.393 2.661 4.971 4.141" Properties=species:S:1:pos:R:3 pbc="T T T"
Ni -1.556 2.012 2.067
Ni -0.463 4.053 3.768
B 1.651 0.514 4.231
Ni 0.321 -1.971 2.160
Ni 0.948 2.301 4.964
Ni -2.179 -0.438 1.927
Ni 3.288 1.754 4.118
La 1.331 2.485 2.071
Ni 2.195 -0.287 2.417
Ni -0.145 0.260 3.264
B -0.849 2.047 3.997
La 0.000 0.000 0.000
```

Formation enthalpy at 0 K = -0.416 eV per atom
Raw total energy = -6.2058 eV per atom

***

First-principles (PBE) data for K3LaP2Se8 after structural relaxation, as listed in the Materials Project database.

```
56
Lattice="18.077 0.000 0.000 0.000 9.675 0.000 0.000 0.083 10.161" Properties=species:S:1:pos:R:3 pbc="T T T"
Se 6.965 2.138 2.253
Se 14.822 1.247 3.720
Se 11.405 3.015 3.324
Se 9.366 9.142 2.511
K 5.161 6.010 3.800
K 3.736 1.199 3.790
K 14.341 8.559 6.371
P 1.775 4.606 2.263
Se 5.783 8.470 1.360
Se 2.073 2.180 7.333
Se 2.275 4.190 4.361
Se 17.750 9.184 7.592
K 12.916 3.748 6.361
K 12.775 8.518 1.291
Se 11.899 6.513 4.162
P 16.302 5.152 7.897
Se 9.465 4.527 6.898
P 10.814 5.111 2.817
Se 11.314 5.527 0.719
La 0.246 2.267 9.863
Se 12.294 1.288 8.801
Se 6.764 4.231 9.441
Se 3.255 8.512 6.440
Se 15.711 3.057 8.404
Se 8.612 5.231 3.263
Se 2.268 9.416 9.857
Se 15.802 5.568 5.800
Se 2.861 3.204 0.918
Se 11.112 7.620 7.908
Se 0.327 0.575 2.569
Se 0.427 5.272 8.343
Se 15.809 0.342 0.303
Se 8.712 0.616 7.649
Se 11.307 0.384 5.384
P 16.223 0.084 2.498
P 10.893 0.126 7.578
Se 6.673 6.743 6.836
P 1.854 9.674 7.662
La 17.832 7.492 0.297
Se 15.217 6.555 9.243
Se 2.366 6.701 1.756
K 3.878 6.052 8.880
La 9.284 7.533 5.378
K 0.583 7.107 4.947
K 5.302 1.240 8.870
K 17.495 2.651 5.214
Se 17.651 4.486 1.817
K 14.200 3.707 1.281
K 8.456 7.148 10.027
P 7.184 9.633 2.582
La 8.793 2.225 4.783
P 7.263 4.648 7.344
K 9.621 2.610 0.133
Se 6.771 9.374 4.777
Se 16.004 7.579 2.828
Se 6.178 3.245 5.998
```

Formation enthalpy at 0 K = -1.197 eV per atom
Size of the total moment = 0.0 μB/f.u.
Raw total energy = -4.2891 eV per atom

***

First-principles (PBE) data for BaGe2Rh2 after structural relaxation, as listed in the Materials Project database.

```
5
Lattice="4.232 0.000 0.000 0.000 4.232 0.000 -2.116 -2.116 6.109" Properties=species:S:1:pos:R:3 pbc="T T T"
Ge 2.116 2.116 1.792
Rh 2.116 0.000 3.055
Ba 0.000 0.000 0.000
Rh 0.000 2.116 3.055
Ge 0.000 0.000 4.318
```

Formation enthalpy at 0 K = -0.742 eV per atom
Raw total energy = -5.9205 eV per atom

***

Listing volume for the structures above in their given order: 412, 31, 63, 164, 710, 79, 444, 109 Å³/f.u..